Density functional theory data (PBE) for a relaxed Mn3Pb3N5 crystal.

Cell: 5.6761 7.4627 8.3053 Å, 103.36 99.71 96.43°
With the nearest neighbours (Å) after each atom.
Space group P-1 (No. 2)
Symmetry-distinct sites (fractional):
Mn 0.0654 0.1771 0.0288 (multiplicity 2)  4 N 1.74-1.86
Mn 0.0793 0.4258 0.7234 (multiplicity 2)  4 N 1.77-1.94
Mn 0.3167 0.5093 0.4031 (multiplicity 2)  4 N 1.78-1.92
Pb 0.2393 0.0630 0.4577 (multiplicity 2)  2 N 2.54-2.82
Pb 0.3778 0.8318 0.7720 (multiplicity 2)  2 N 2.49-2.59
Pb 0.4311 0.6947 0.1351 (multiplicity 2)  3 N 2.60-2.79
N 0.0770 0.3625 0.2245 (multiplicity 2)  3 Mn 1.86-1.90
N 0.1185 0.3097 0.8872 (multiplicity 2)  2 Mn 1.74-1.77
N 0.1766 0.7127 0.4265 (multiplicity 2)  2 Mn 1.78-1.79
N 0.2284 0.9765 0.0296 (multiplicity 2)  2 Mn 1.84-1.85
N 0.3461 0.4496 0.6076 (multiplicity 2)  3 Mn 1.84-1.94

=====

Density functional theory data (PBE) for a relaxed Y2ZnS4 crystal.

Cell: 11.0323 11.0323 11.0323 Å, 90.00 90.00 90.00°
With the nearest neighbours (Å) after each atom.
Space group Fd-3m (No. 227, origin choice 2)
Symmetry-distinct sites (fractional):
Y 0.0000 0.0000 0.0000 (multiplicity 16)  6 S 2.74
Zn 0.1250 0.1250 0.6250 (multiplicity 8)  4 S 2.42
S 0.0015 0.0015 0.2485 (multiplicity 32)  1 Zn 2.42

=====

Density functional theory data (PBE) for a relaxed SrZrO3 crystal.

Cell: 8.3967 8.3967 8.3967 Å, 90.00 90.00 90.00°
With the nearest neighbours (Å) after each atom.
Space group P2_13 (No. 198)
Symmetry-distinct sites (fractional):
Sr 0.2310 0.2310 0.2310 (multiplicity 4)  9 O 2.74-2.99
Sr 0.2453 0.7547 0.2547 (multiplicity 4)  12 O 2.78-3.11
Zr 0.0034 0.9966 0.4966 (multiplicity 4)  6 O 2.08-2.12
Zr 0.0063 0.4937 0.5063 (multiplicity 4)  6 O 2.10-2.11
O 0.0094 0.9792 0.7441 (multiplicity 12)  2 Zr 2.08-2.10
O 0.0107 0.7438 0.4875 (multiplicity 12)  2 Zr 2.11-2.12

piezoelectric modulus e_max = 0.4 C/m²

=====

no.,theoretical density (kg/m³),E_tot (eV per atom)
1,8537,-7.140
2,3675,-6.057
3,5090,-8.212